Here is crystalline PmErIn2 at its relaxed geometry from the Materials Project database. Energies are from r2SCAN.

POSCAR file:
```
PmErIn2
1.0
1.661 -0.865 4.984
-3.232 1.118 4.090
-2.148 -3.953 2.898
Pm Er In
1 1 2
direct
0.750 0.750 0.750 Pm
0.250 0.250 0.250 Er
0.000 0.000 0.001 In
0.500 0.500 0.499 In
```

M_tot = 0.00 μB per formula unit
energy relative to the elements = -0.5892 eV per atom

***

Here is crystalline ErInPt at its relaxed geometry from the Materials Project database. Energies are from r2SCAN.

POSCAR file:
```
ErInPt
1.0
-5.076 4.016 3.971
5.525 -3.761 3.605
2.249 3.076 -0.236
Er In Pt
3 3 3
direct
0.595 0.000 0.500 Er
0.405 0.405 0.500 Er
0.000 0.595 0.500 Er
0.738 0.738 0.000 In
0.000 0.262 0.000 In
0.262 0.000 0.000 In
0.333 0.667 0.000 Pt
0.667 0.333 0.000 Pt
0.000 0.000 0.500 Pt
```

M_tot = 0.00 μB per formula unit
energy relative to the elements = -1.1380 eV per atom

***

Here is crystalline Er4InRh at its relaxed geometry from the Materials Project database. Energies are from r2SCAN.

POSCAR file:
```
Er4InRh
1.0
-8.338 -2.360 3.934
-4.831 6.408 5.115
-8.083 3.691 -3.406
Er In Rh
16 4 4
direct
0.189 0.189 0.811 Er
0.439 0.061 0.061 Er
0.439 0.061 0.439 Er
0.061 0.439 0.061 Er
0.651 0.048 0.651 Er
0.189 0.811 0.811 Er
0.061 0.061 0.439 Er
0.811 0.189 0.189 Er
0.811 0.811 0.189 Er
0.651 0.651 0.048 Er
0.651 0.651 0.651 Er
0.061 0.439 0.439 Er
0.048 0.651 0.651 Er
0.811 0.189 0.811 Er
0.439 0.439 0.061 Er
0.189 0.811 0.189 Er
0.417 0.750 0.417 In
0.417 0.417 0.750 In
0.750 0.417 0.417 In
0.417 0.417 0.417 In
0.858 0.427 0.858 Rh
0.858 0.858 0.427 Rh
0.427 0.858 0.858 Rh
0.858 0.858 0.858 Rh
```

M_tot = 0.00 μB per formula unit
energy relative to the elements = -0.6466 eV per atom

***

Here is crystalline ErIn5Rh at its relaxed geometry from the Materials Project database. Energies are from r2SCAN.

POSCAR file:
```
ErIn5Rh
1.0
-2.861 0.440 -3.606
3.413 -1.248 -2.859
-1.992 -7.088 0.715
Er In Rh
1 5 1
direct
0.000 0.000 0.000 Er
0.000 0.500 0.299 In
0.000 0.500 0.701 In
0.500 0.000 0.299 In
0.500 0.000 0.701 In
0.500 0.500 0.000 In
0.000 0.000 0.500 Rh
```

M_tot = 0.00 μB per formula unit
energy relative to the elements = -0.5121 eV per atom

***

These records have E values of -27.7450, -37.1352, -31.0493, -24.9342 eV per atom, in the order they appear.